# 1
# V2Zn3TeO10, relaxed, DFT GGA+U
# Total energy after the MP2020 corrections ... -6.67 eV per atom
# Crystal system ... monoclinic
# Formation energy from the elements ... -2.01 eV/atom
# Mass density ... 4.2 g/cm³
data_V2Zn3TeO10
_chemical_formula_sum 'V8 Zn12 Te4 O40'
_cell_length_a 5.3415
_cell_length_b 30.8559
_cell_length_c 5.6401
_cell_angle_alpha 90.00
_cell_angle_beta 98.55
_cell_angle_gamma 90.00
_symmetry_space_group_name_H-M 'P 1 21/c 1'
_symmetry_Int_Tables_number 14
loop_
_symmetry_equiv_pos_as_xyz
'x,y,z'
'-x,-y,-z'
'-x,y+1/2,-z+1/2'
'x,-y+1/2,z+1/2'
loop_
_atom_site_label
_atom_site_type_symbol
_atom_site_fract_x
_atom_site_fract_y
_atom_site_fract_z
V1 V 0.0705 0.2053 0.2276
V2 V 0.2476 0.0555 0.2181
Zn1 Zn 0.2202 0.1297 0.7681
Zn2 Zn 0.3056 0.5579 0.6428
Zn3 Zn 0.4211 0.7268 0.7795
Te1 Te 0.3297 0.6309 0.0687
O1 O 0.0325 0.6752 0.0276
O2 O 0.0713 0.5649 0.3320
O3 O 0.1170 0.5995 0.8269
O4 O 0.1827 0.1682 0.0489
O5 O 0.2013 0.7310 0.4322
O6 O 0.3123 0.2396 0.3550
O7 O 0.3172 0.0019 0.2376
O8 O 0.3862 0.0795 0.9831
O9 O 0.3918 0.0851 0.4844
O10 O 0.4869 0.6642 0.8411

# 2
# TeWO6, relaxed, DFT GGA+U
# Total energy after the MP2020 corrections ... -7.46 eV per atom
# Crystal system ... monoclinic
# Formation energy from the elements ... -1.73 eV/atom
# Offset from the most stable computed form ... 0.0000 eV per atom
# Mass density ... 6.6 g/cm³
data_TeWO6
_chemical_formula_sum 'Te2 W2 O12'
_cell_length_a 5.1790
_cell_length_b 5.3362
_cell_length_c 9.0670
_cell_angle_alpha 90.00
_cell_angle_beta 124.82
_cell_angle_gamma 90.00
_symmetry_space_group_name_H-M 'P 1 21/c 1'
_symmetry_Int_Tables_number 14
loop_
_symmetry_equiv_pos_as_xyz
'x,y,z'
'-x,-y,-z'
'-x,y+1/2,-z+1/2'
'x,-y+1/2,z+1/2'
loop_
_atom_site_label
_atom_site_type_symbol
_atom_site_fract_x
_atom_site_fract_y
_atom_site_fract_z
Te1 Te 0.0000 0.0000 0.0000
W1 W 0.5000 0.0000 0.5000
O1 O 0.1489 0.2027 0.4511
O2 O 0.2500 0.7027 0.4501
O3 O 0.3484 0.0168 0.2493

# 3
# Te3WO12, relaxed, DFT GGA+U
# Total energy after the MP2020 corrections ... -6.61 eV per atom
# Crystal system ... monoclinic
# Formation energy from the elements ... -1.50 eV/atom
# Offset from the most stable computed form ... 0.0143 eV per atom
# Mass density ... 5.6 g/cm³
data_Te3WO12
_chemical_formula_sum 'Te3 W1 O12'
_cell_length_a 4.9863
_cell_length_b 8.5399
_cell_length_c 5.2389
_cell_angle_alpha 90.00
_cell_angle_beta 91.29
_cell_angle_gamma 90.00
_symmetry_space_group_name_H-M 'P 1 2 1'
_symmetry_Int_Tables_number 3
loop_
_symmetry_equiv_pos_as_xyz
'x,y,z'
'-x,y,-z'
loop_
_atom_site_label
_atom_site_type_symbol
_atom_site_fract_x
_atom_site_fract_y
_atom_site_fract_z
Te1 Te 0.0000 0.0000 0.0000
Te2 Te 0.0000 0.1818 0.5000
Te3 Te 0.5000 0.6899 0.0000
W1 W 0.5000 0.5007 0.5000
O1 O 0.2077 0.1658 0.8189
O2 O 0.2143 0.0219 0.3168
O3 O 0.2442 0.3449 0.3942
O4 O 0.2493 0.8474 0.8629
O5 O 0.2909 0.5295 0.8095
O6 O 0.2964 0.6654 0.3094

# 4
# Te3W5O18, relaxed, DFT GGA+U
# Total energy after the MP2020 corrections ... -8.01 eV per atom
# Crystal system ... monoclinic
# Formation energy from the elements ... -1.73 eV/atom
# Mass density ... 5.9 g/cm³
data_Te3W5O18
_chemical_formula_sum 'Te12 W20 O72'
_cell_length_a 15.7045
_cell_length_b 9.4697
_cell_length_c 12.0039
_cell_angle_alpha 90.00
_cell_angle_beta 91.83
_cell_angle_gamma 90.00
_symmetry_space_group_name_H-M 'C 1 2 1'
_symmetry_Int_Tables_number 5
loop_
_symmetry_equiv_pos_as_xyz
'x,y,z'
'-x,y,-z'
'x+1/2,y+1/2,z'
'-x+1/2,y+1/2,-z'
loop_
_atom_site_label
_atom_site_type_symbol
_atom_site_fract_x
_atom_site_fract_y
_atom_site_fract_z
Te1 Te 0.0071 0.0000 0.2348
Te2 Te 0.0682 0.5038 0.5862
Te3 Te 0.0894 0.5494 0.0950
W1 W 0.0000 0.1467 0.5000
W2 W 0.0000 0.9214 0.0000
W3 W 0.1532 0.7252 0.8146
W4 W 0.1628 0.8521 0.5446
W5 W 0.1665 0.3206 0.3077
W6 W 0.1742 0.2055 0.0408
O1 O 0.0415 0.2303 0.6264
O2 O 0.0592 0.8510 0.1434
O3 O 0.0822 0.7016 0.5387
O4 O 0.0848 0.5831 0.7543
O5 O 0.0850 0.9970 0.4977
O6 O 0.0923 0.3625 0.0311
O7 O 0.0920 0.7779 0.9373
O8 O 0.0966 0.0637 0.0049
O9 O 0.0968 0.4717 0.2503
O10 O 0.1015 0.8828 0.7266
O11 O 0.1118 0.2619 0.4308
O12 O 0.1219 0.1752 0.2144
O13 O 0.2133 0.8183 0.4206
O14 O 0.2213 0.2365 0.9139
O15 O 0.2223 0.7119 0.6635
O16 O 0.2276 0.5959 0.8955
O17 O 0.2388 0.3452 0.1539
O18 O 0.2441 0.4572 0.3843

# 5
# Te3WO12, relaxed, DFT GGA+U
# Total energy after the MP2020 corrections ... -6.63 eV per atom
# Crystal system ... triclinic
# Formation energy from the elements ... -1.52 eV/atom
# Offset from the most stable computed form ... 0.0000 eV per atom
# Mass density ... 6.4 g/cm³
data_Te3WO12
_chemical_formula_sum 'Te3 W1 O12'
_cell_length_a 5.0827
_cell_length_b 5.3064
_cell_length_c 7.3485
_cell_angle_alpha 86.54
_cell_angle_beta 89.96
_cell_angle_gamma 89.99
_symmetry_space_group_name_H-M 'P -1'
_symmetry_Int_Tables_number 2
loop_
_symmetry_equiv_pos_as_xyz
'x,y,z'
'-x,-y,-z'
loop_
_atom_site_label
_atom_site_type_symbol
_atom_site_fract_x
_atom_site_fract_y
_atom_site_fract_z
Te1 Te 0.0000 0.0000 0.0000
Te2 Te 0.0000 0.0000 0.5000
Te3 Te 0.5000 0.5000 0.0000
W1 W 0.5000 0.5000 0.5000
O1 O 0.1326 0.0069 0.7535
O2 O 0.1843 0.6918 0.0707
O3 O 0.1905 0.3154 0.4477
O4 O 0.3069 0.8021 0.4386
O5 O 0.3157 0.1917 0.0710
O6 O 0.3839 0.5051 0.7543

# 6
# TeWO6, relaxed, DFT GGA+U
# Total energy after the MP2020 corrections ... -7.44 eV per atom
# Crystal system ... trigonal
# Formation energy from the elements ... -1.72 eV/atom
# Offset from the most stable computed form ... 0.0166 eV per atom
# Mass density ... 6.7 g/cm³
data_TeWO6
_chemical_formula_sum 'Te3 W3 O18'
_cell_length_a 5.1318
_cell_length_b 5.1318
_cell_length_c 13.2957
_cell_angle_alpha 90.00
_cell_angle_beta 90.00
_cell_angle_gamma 120.00
_symmetry_space_group_name_H-M 'R -3'
_symmetry_Int_Tables_number 148
_symmetry_space_group_name_Hall '-R 3'
loop_
_atom_site_label
_atom_site_type_symbol
_atom_site_fract_x
_atom_site_fract_y
_atom_site_fract_z
Te1 Te 0.0000 0.0000 0.0000
W1 W 0.0000 0.0000 0.5000
O1 O 0.0014 0.3923 0.7537

# 7
# TeWO6, relaxed, DFT GGA+U
# Total energy after the MP2020 corrections ... -7.43 eV per atom
# Crystal system ... cubic
# Formation energy from the elements ... -1.70 eV/atom
# Offset from the most stable computed form ... 0.0301 eV per atom
# Mass density ... 6.0 g/cm³
data_TeWO6
_chemical_formula_sum 'Te4 W4 O24'
_cell_length_a 7.6638
_cell_length_b 7.6638
_cell_length_c 7.6638
_cell_angle_alpha 90.00
_cell_angle_beta 90.00
_cell_angle_gamma 90.00
_symmetry_space_group_name_H-M 'F m -3 m'
_symmetry_Int_Tables_number 225
_symmetry_space_group_name_Hall '-F 4 2 3'
loop_
_atom_site_label
_atom_site_type_symbol
_atom_site_fract_x
_atom_site_fract_y
_atom_site_fract_z
Te1 Te 0.0000 0.0000 0.0000
W1 W 0.0000 0.0000 0.5000
O1 O 0.0000 0.0000 0.2491

# 8
# YTeW2O8, relaxed, DFT GGA+U
# Total energy after the MP2020 corrections ... -8.54 eV per atom
# Crystal system ... triclinic
# Formation energy from the elements ... -2.28 eV/atom
# Offset from the most stable computed form ... 0.0000 eV per atom
# Mass density ... 6.6 g/cm³
data_YTeW2O8
_chemical_formula_sum 'Y2 Te2 W4 O16'
_cell_length_a 5.1383
_cell_length_b 6.5995
_cell_length_c 11.0003
_cell_angle_alpha 104.91
_cell_angle_beta 95.14
_cell_angle_gamma 90.75
_symmetry_space_group_name_H-M 'P -1'
_symmetry_Int_Tables_number 2
loop_
_symmetry_equiv_pos_as_xyz
'x,y,z'
'-x,-y,-z'
loop_
_atom_site_label
_atom_site_type_symbol
_atom_site_fract_x
_atom_site_fract_y
_atom_site_fract_z
Y1 Y 0.2171 0.2701 0.2748
Te1 Te 0.2880 0.3552 0.7507
W1 W 0.2439 0.8516 0.4939
W2 W 0.2479 0.8500 0.0020
O1 O 0.0091 0.0240 0.8895
O2 O 0.0637 0.6011 0.3655
O3 O 0.0777 0.6323 0.8747
O4 O 0.0799 0.0749 0.4085
O5 O 0.3927 0.6945 0.1006
O6 O 0.4086 0.7126 0.6011
O7 O 0.4494 0.1282 0.6084
O8 O 0.4565 0.1280 0.1006

# 9
# YTeW2O8, relaxed, DFT GGA+U
# Total energy after the MP2020 corrections ... -8.44 eV per atom
# Crystal system ... triclinic
# Formation energy from the elements ... -2.18 eV/atom
# Offset from the most stable computed form ... 0.1023 eV per atom
# Mass density ... 6.7 g/cm³
data_YTeW2O8
_chemical_formula_sum 'Y1 Te1 W2 O8'
_cell_length_a 5.1674
_cell_length_b 6.0634
_cell_length_c 6.6080
_cell_angle_alpha 109.82
_cell_angle_beta 112.93
_cell_angle_gamma 90.77
_symmetry_space_group_name_H-M 'P -1'
_symmetry_Int_Tables_number 2
loop_
_symmetry_equiv_pos_as_xyz
'x,y,z'
'-x,-y,-z'
loop_
_atom_site_label
_atom_site_type_symbol
_atom_site_fract_x
_atom_site_fract_y
_atom_site_fract_z
Y1 Y 0.0000 0.0000 0.0000
Te1 Te 0.5000 0.5000 0.0000
W1 W 0.2495 0.6758 0.4990
O1 O 0.0065 0.6775 0.6690
O2 O 0.0547 0.7970 0.2749
O3 O 0.4734 0.5284 0.3232
O4 O 0.4811 0.0799 0.2596

# 10
# Zn4Te3W5O18, relaxed, DFT GGA+U
# Total energy after the MP2020 corrections ... -7.20 eV per atom
# Crystal system ... monoclinic
# Formation energy from the elements ... -1.58 eV/atom
# Mass density ... 7.3 g/cm³
data_Zn4Te3W5O18
_chemical_formula_sum 'Zn16 Te12 W20 O72'
_cell_length_a 15.7454
_cell_length_b 10.5078
_cell_length_c 10.2629
_cell_angle_alpha 90.00
_cell_angle_beta 92.50
_cell_angle_gamma 90.00
_symmetry_space_group_name_H-M 'C 1 2 1'
_symmetry_Int_Tables_number 5
loop_
_symmetry_equiv_pos_as_xyz
'x,y,z'
'-x,y,-z'
'x+1/2,y+1/2,z'
'-x+1/2,y+1/2,-z'
loop_
_atom_site_label
_atom_site_type_symbol
_atom_site_fract_x
_atom_site_fract_y
_atom_site_fract_z
Zn1 Zn 0.0355 0.0000 0.2673
Zn2 Zn 0.0398 0.3790 0.7617
Zn3 Zn 0.2134 0.8202 0.1827
Zn4 Zn 0.2142 0.5613 0.6803
Te1 Te 0.9996 0.6881 0.2527
Te2 Te 0.0800 0.1473 0.0679
Te3 Te 0.0831 0.2434 0.5566
W1 W 0.0000 0.5710 0.5000
W2 W 0.0000 0.8093 0.0000
W3 W 0.1619 0.0018 0.7975
W4 W 0.1625 0.5278 0.0148
W5 W 0.1616 0.8526 0.5171
W6 W 0.1651 0.3777 0.2940
O1 O 0.0630 0.2731 0.2129
O2 O 0.0701 0.1087 0.7114
O3 O 0.0806 0.4254 0.4318
O4 O 0.0822 0.8383 0.1782
O5 O 0.0836 0.5412 0.6736
O6 O 0.0872 0.9656 0.4375
O7 O 0.0881 0.4151 0.9352
O8 O 0.0881 0.9479 0.9283
O9 O 0.1022 0.8608 0.6832
O10 O 0.1060 0.5188 0.1809
O11 O 0.1083 0.7016 0.4774
O12 O 0.1089 0.6791 0.9759
O13 O 0.2296 0.9904 0.6310
O14 O 0.2366 0.3938 0.1248
O15 O 0.2420 0.1417 0.8662
O16 O 0.2428 0.5005 0.8741
O17 O 0.2427 0.8813 0.3781
O18 O 0.2463 0.2390 0.3682

# 11
# ThV2O7, relaxed, DFT GGA+U
# Total energy after the MP2020 corrections ... -8.97 eV per atom
# Crystal system ... orthorhombic
# Formation energy from the elements ... -2.95 eV/atom
# Offset from the most stable computed form ... 0.0000 eV per atom
# Mass density ... 4.8 g/cm³
data_ThV2O7
_chemical_formula_sum 'Th8 V16 O56'
_cell_length_a 7.3495
_cell_length_b 7.1475
_cell_length_c 23.3655
_cell_angle_alpha 90.00
_cell_angle_beta 90.00
_cell_angle_gamma 90.00
_symmetry_space_group_name_H-M 'P n a 21'
_symmetry_Int_Tables_number 33
loop_
_symmetry_equiv_pos_as_xyz
'x,y,z'
'-x,-y,z+1/2'
'-x+1/2,y+1/2,z+1/2'
'x+1/2,-y+1/2,z'
loop_
_atom_site_label
_atom_site_type_symbol
_atom_site_fract_x
_atom_site_fract_y
_atom_site_fract_z
Th1 Th 0.2421 0.1174 0.0000
Th2 Th 0.2467 0.1046 0.2876
V1 V 0.0072 0.0695 0.6428
V2 V 0.0268 0.4574 0.1382
V3 V 0.2476 0.0649 0.8299
V4 V 0.2483 0.5765 0.9577
O1 O 0.0284 0.6654 0.5783
O2 O 0.0476 0.3091 0.6255
O3 O 0.0595 0.4351 0.9713
O4 O 0.0628 0.4327 0.3098
O5 O 0.0671 0.6306 0.6992
O6 O 0.0796 0.9107 0.8035
O7 O 0.0847 0.9220 0.4860
O8 O 0.0961 0.9503 0.2066
O9 O 0.1347 0.0132 0.0919
O10 O 0.2232 0.1098 0.3849
O11 O 0.2310 0.0890 0.9032
O12 O 0.2315 0.9649 0.6449
O13 O 0.2388 0.2864 0.8003
O14 O 0.2423 0.7922 0.9916

formation energy from the elements of number 11 (ThV2O7)? -2.95 eV/atom

What is the total energy after the MP2020 corrections in the tenth record? -7.20 eV per atom

formation energy from the elements of number 1 (V2Zn3TeO10)? -2.01 eV/atom